(1)
# Te2MoW3Se4S2

An optimized crystal structure of Te2MoW3Se4S2 (PBE, the Materials Project database).

Values from the calculation:
* polymorph energy (0 for the lowest one): 0.0 kJ/mol of atoms
* M_tot: 0.000 μB per cell
* calculated total energy: -0.517 Ry/atom

Lattice parameters (Å, degrees): 3.339 3.339 38.749 90.00 90.00 120.00
Element x y z (fractional)
Te 0.333 0.667 0.331
Te 0.333 0.667 0.233
Mo 0.667 0.333 0.282
W 0.333 0.667 0.094
W 0.333 0.667 0.470
W 0.667 0.333 0.658
Se 0.333 0.667 0.701
Se 0.667 0.333 0.051
Se 0.667 0.333 0.137
Se 0.333 0.667 0.614
S 0.667 0.333 0.430
S 0.667 0.333 0.509

---

(2)
# Te2MoWSeS

An optimized crystal structure of Te2MoWSeS (PBE, the Materials Project database).

Values from the calculation:
* polymorph energy (0 for the lowest one): 0.0 kJ/mol of atoms
* M_tot: 0.000 μB per cell
* calculated total energy: -0.493 Ry/atom

Lattice parameters (Å, degrees): 3.393 3.393 38.768 90.00 90.00 120.00
Element x y z (fractional)
Te 0.000 0.000 0.706
Te 0.333 0.667 0.046
Te 0.333 0.667 0.142
Te 0.000 0.000 0.609
Mo 0.000 0.000 0.094
Mo 0.333 0.667 0.658
W 0.000 0.000 0.470
W 0.333 0.667 0.282
Se 0.333 0.667 0.427
Se 0.333 0.667 0.512
S 0.000 0.000 0.321
S 0.000 0.000 0.243

---

(3)
# Te2MoW3Se4S2

An optimized crystal structure of Te2MoW3Se4S2 (PBE, the Materials Project database).

Values from the calculation:
* polymorph energy (0 for the lowest one): 3.5 kJ/mol of atoms
* M_tot: 0.001 μB per cell
* calculated total energy: -0.514 Ry/atom

Lattice parameters (Å, degrees): 3.345 3.345 38.092 90.00 90.00 120.00
Element x y z (fractional)
Te 0.000 0.000 0.708
Te 0.000 0.000 0.607
Mo 0.000 0.000 0.470
W 0.000 0.000 0.094
W 0.333 0.667 0.282
W 0.333 0.667 0.658
Se 0.000 0.000 0.326
Se 0.333 0.667 0.050
Se 0.333 0.667 0.138
Se 0.000 0.000 0.238
S 0.333 0.667 0.430
S 0.333 0.667 0.509

---

(4)
# Te2MoW3Se4S2

An optimized crystal structure of Te2MoW3Se4S2 (PBE, the Materials Project database).

Values from the calculation:
* polymorph energy (0 for the lowest one): 2.1 kJ/mol of atoms
* M_tot: 0.003 μB per cell
* calculated total energy: -0.515 Ry/atom

Lattice parameters (Å, degrees): 3.341 3.341 38.722 90.00 90.00 120.00
Element x y z (fractional)
Te 0.000 0.000 0.331
Te 0.000 0.000 0.232
Mo 0.000 0.000 0.094
W 0.000 0.000 0.470
W 0.333 0.667 0.282
W 0.333 0.667 0.658
Se 0.333 0.667 0.050
Se 0.333 0.667 0.427
Se 0.333 0.667 0.137
Se 0.333 0.667 0.513
S 0.000 0.000 0.697
S 0.000 0.000 0.618

---

(5)
# TeMoWSe2S

An optimized crystal structure of TeMoWSe2S (PBE, the Materials Project database).

Values from the calculation:
* polymorph energy (0 for the lowest one): 3.6 kJ/mol of atoms
* M_tot: 0.007 μB per cell
* calculated total energy: -0.503 Ry/atom

Lattice parameters (Å, degrees): 3.346 3.346 38.115 90.00 90.00 120.00
Element x y z (fractional)
Te 0.333 0.667 0.708
Te 0.333 0.667 0.608
Mo 0.333 0.667 0.094
Mo 0.667 0.333 0.282
W 0.333 0.667 0.470
W 0.667 0.333 0.658
Se 0.333 0.667 0.326
Se 0.667 0.333 0.426
Se 0.667 0.333 0.514
Se 0.333 0.667 0.238
S 0.667 0.333 0.054
S 0.667 0.333 0.134

---

(6)
# Te2MoW3Se4S2

An optimized crystal structure of Te2MoW3Se4S2 (PBE, the Materials Project database).

Values from the calculation:
* polymorph energy (0 for the lowest one): 2.1 kJ/mol of atoms
* M_tot: 0.001 μB per cell
* calculated total energy: -0.515 Ry/atom

Lattice parameters (Å, degrees): 3.343 3.343 38.124 90.00 90.00 120.00
Element x y z (fractional)
Te 0.667 0.333 0.420
Te 0.667 0.333 0.520
Mo 0.667 0.333 0.282
W 0.333 0.667 0.094
W 0.333 0.667 0.470
W 0.667 0.333 0.658
Se 0.333 0.667 0.325
Se 0.333 0.667 0.701
Se 0.333 0.667 0.238
Se 0.333 0.667 0.614
S 0.667 0.333 0.054
S 0.667 0.333 0.134

---

(7)
# Te2MoW3Se4S2

An optimized crystal structure of Te2MoW3Se4S2 (PBE, the Materials Project database).

Values from the calculation:
* polymorph energy (0 for the lowest one): 2.0 kJ/mol of atoms
* M_tot: 0.000 μB per cell
* calculated total energy: -0.515 Ry/atom

Lattice parameters (Å, degrees): 3.343 3.343 38.753 90.00 90.00 120.00
Element x y z (fractional)
Te 0.333 0.667 0.420
Te 0.333 0.667 0.519
Mo 0.000 0.000 0.094
W 0.000 0.000 0.470
W 0.333 0.667 0.282
W 0.333 0.667 0.658
Se 0.000 0.000 0.701
Se 0.333 0.667 0.051
Se 0.333 0.667 0.137
Se 0.000 0.000 0.614
S 0.000 0.000 0.321
S 0.000 0.000 0.243

---

(8)
# Te2Mo3WSe4S2

An optimized crystal structure of Te2Mo3WSe4S2 (PBE, the Materials Project database).

Values from the calculation:
* polymorph energy (0 for the lowest one): 0.0 kJ/mol of atoms
* M_tot: 0.000 μB per cell
* calculated total energy: -0.495 Ry/atom

Lattice parameters (Å, degrees): 3.341 3.341 38.125 90.00 90.00 120.00
Element x y z (fractional)
Te 0.667 0.333 0.420
Te 0.667 0.333 0.519
Mo 0.333 0.667 0.094
Mo 0.333 0.667 0.470
Mo 0.667 0.333 0.282
W 0.667 0.333 0.658
Se 0.333 0.667 0.326
Se 0.667 0.333 0.050
Se 0.667 0.333 0.138
Se 0.333 0.667 0.238
S 0.333 0.667 0.697
S 0.333 0.667 0.618

---

(9)
# TeMoWSe2S

An optimized crystal structure of TeMoWSe2S (PBE, the Materials Project database).

Values from the calculation:
* polymorph energy (0 for the lowest one): 0.0 kJ/mol of atoms
* M_tot: 0.000 μB per cell
* calculated total energy: -0.506 Ry/atom

Lattice parameters (Å, degrees): 3.340 3.340 39.746 90.00 90.00 120.00
Element x y z (fractional)
Te 0.333 0.667 0.329
Te 0.333 0.667 0.234
Mo 0.333 0.667 0.093
Mo 0.667 0.333 0.282
W 0.333 0.667 0.471
W 0.667 0.333 0.658
Se 0.667 0.333 0.051
Se 0.667 0.333 0.428
Se 0.667 0.333 0.135
Se 0.667 0.333 0.513
S 0.333 0.667 0.696
S 0.333 0.667 0.619

---

(10)
# Te2MoW3Se4S2

An optimized crystal structure of Te2MoW3Se4S2 (PBE, the Materials Project database).

Values from the calculation:
* polymorph energy (0 for the lowest one): 3.6 kJ/mol of atoms
* M_tot: 0.000 μB per cell
* calculated total energy: -0.514 Ry/atom

Lattice parameters (Å, degrees): 3.345 3.345 38.124 90.00 90.00 120.00
Element x y z (fractional)
Te 0.333 0.667 0.708
Te 0.333 0.667 0.608
Mo 0.667 0.333 0.282
W 0.333 0.667 0.094
W 0.333 0.667 0.470
W 0.667 0.333 0.658
Se 0.667 0.333 0.050
Se 0.667 0.333 0.426
Se 0.667 0.333 0.138
Se 0.667 0.333 0.514
S 0.333 0.667 0.322
S 0.333 0.667 0.242